The following is a DFT calculation (PBE with a Hubbard U) of a relaxed MoPO7 crystal.

Values from the calculation:
raw total energy = -6.300 eV per atom
relative energy among the computed polymorphs = 0.000 eV/atom
formation enthalpy at 0 K = -1.535 eV/atom
SG = P2_1/m
V = 160 Å³/f.u.

Lattice parameters (Å, degrees): 6.417 7.184 7.508 112.20 90.00 90.00
Sites, in units of the cell vectors:
O 0.750 0.170 0.414
O 0.250 0.471 0.482
O 0.250 0.830 0.586
O 0.750 0.943 0.783
O 0.750 0.411 0.832
O 0.750 0.788 0.068
O 0.250 0.057 0.217
O 0.250 0.212 0.932
O 0.250 0.589 0.168
O 0.059 0.667 0.794
O 0.441 0.667 0.794
O 0.559 0.333 0.206
O 0.941 0.333 0.206
O 0.750 0.529 0.518
P 0.250 0.661 0.667
P 0.750 0.339 0.333
Mo 0.250 0.277 0.180
Mo 0.750 0.723 0.820